1.
VC2O6 (PBE+U, relaxed); raw total energy = -7.650 eV/atom; relative energy among the computed polymorphs = 20 meV/atom; MP2020-corrected energy = -8.297 eV/atom; SG = P1, No. 1; energy relative to the elements = -1938 meV/atom
1.0
4.723 1.508 6.305
-5.968 5.917 0.377
-1.477 -4.759 6.321
V C O
4 8 24
Direct
0.807 0.629 0.447 V
0.693 0.870 0.052 V
0.301 0.123 0.946 V
0.199 0.378 0.554 V
0.499 0.392 0.700 C
0.992 0.893 0.201 C
0.956 0.644 0.742 C
0.450 0.139 0.242 C
0.545 0.856 0.757 C
0.050 0.361 0.258 C
0.001 0.109 0.802 C
0.508 0.607 0.298 C
0.655 0.565 0.294 O
0.150 0.074 0.807 O
0.449 0.174 0.092 O
0.962 0.681 0.593 O
0.052 0.326 0.408 O
0.539 0.818 0.906 O
0.845 0.933 0.205 O
0.350 0.427 0.694 O
0.855 0.715 0.901 O
0.349 0.202 0.401 O
0.659 0.462 0.608 O
0.154 0.948 0.097 O
0.841 0.039 0.893 O
0.346 0.553 0.404 O
0.644 0.786 0.598 O
0.153 0.299 0.100 O
0.484 0.290 0.800 O
0.978 0.796 0.310 O
0.050 0.542 0.741 O
0.557 0.043 0.231 O
0.450 0.959 0.759 O
0.942 0.455 0.270 O
0.016 0.210 0.701 O
0.522 0.702 0.189 O

=====

2.
VC2O6 (PBE+U, relaxed); raw total energy = -7.656 eV/atom; relative energy among the computed polymorphs = 15 meV/atom; MP2020-corrected energy = -8.303 eV/atom; SG = I-42d, No. 122; energy relative to the elements = -1944 meV/atom
1.0
-5.012 5.012 4.635
5.012 -5.012 4.635
5.012 5.012 -4.635
V C O
4 8 24
Direct
0.405 0.875 0.030 V
0.125 0.155 0.530 V
0.845 0.375 0.970 V
0.625 0.595 0.470 V
0.947 0.608 0.766 C
0.392 0.158 0.339 C
0.431 0.592 0.734 C
0.842 0.181 0.234 C
0.819 0.053 0.661 C
0.303 0.569 0.161 C
0.408 0.142 0.839 C
0.858 0.697 0.266 C
0.529 0.313 0.358 O
0.135 0.688 0.856 O
0.483 0.766 0.847 O
0.828 0.471 0.783 O
0.332 0.984 0.217 O
0.528 0.581 0.644 O
0.016 0.233 0.347 O
0.295 0.437 0.717 O
0.687 0.045 0.217 O
0.955 0.172 0.642 O
0.312 0.169 0.447 O
0.422 0.705 0.142 O
0.722 0.865 0.553 O
0.115 0.472 0.053 O
0.938 0.885 0.356 O
0.563 0.279 0.858 O
0.234 0.082 0.717 O
0.365 0.517 0.283 O
0.419 0.062 0.947 O
0.918 0.635 0.153 O
0.721 0.578 0.283 O
0.767 0.115 0.783 O
0.885 0.668 0.653 O
0.831 0.278 0.144 O

=====

3.
WC6O6 (PBE+U, relaxed); raw total energy = -7.702 eV/atom; MP2020-corrected energy = -8.361 eV/atom; SG = Pnma, No. 62; energy relative to the elements = -821 meV/atom
1.0
6.580 0.000 0.000
0.000 11.583 0.000
0.000 0.000 12.166
W C O
4 24 24
Direct
0.938 0.750 0.127 W
0.062 0.250 0.873 W
0.562 0.750 0.627 W
0.438 0.250 0.373 W
0.938 0.378 0.773 C
0.685 0.623 0.525 C
0.562 0.122 0.273 C
0.674 0.750 0.222 C
0.326 0.250 0.778 C
0.315 0.377 0.475 C
0.701 0.250 0.467 C
0.799 0.250 0.967 C
0.201 0.750 0.033 C
0.174 0.250 0.278 C
0.185 0.377 0.975 C
0.938 0.122 0.773 C
0.062 0.878 0.227 C
0.815 0.623 0.025 C
0.438 0.622 0.727 C
0.062 0.622 0.227 C
0.299 0.750 0.533 C
0.815 0.877 0.025 C
0.562 0.378 0.273 C
0.826 0.750 0.722 C
0.315 0.123 0.475 C
0.185 0.123 0.975 C
0.685 0.877 0.525 C
0.438 0.878 0.727 C
0.753 0.947 0.468 O
0.849 0.250 0.519 O
0.247 0.053 0.532 O
0.253 0.447 0.032 O
0.151 0.750 0.481 O
0.349 0.750 0.981 O
0.753 0.553 0.468 O
0.527 0.750 0.275 O
0.747 0.553 0.968 O
0.473 0.250 0.725 O
0.369 0.950 0.782 O
0.869 0.050 0.718 O
0.631 0.050 0.218 O
0.869 0.450 0.718 O
0.747 0.947 0.968 O
0.247 0.447 0.532 O
0.131 0.550 0.282 O
0.131 0.950 0.282 O
0.651 0.250 0.019 O
0.631 0.450 0.218 O
0.253 0.053 0.032 O
0.973 0.750 0.775 O
0.369 0.550 0.782 O
0.027 0.250 0.225 O

=====

4.
W2C3O3 (PBE+U, relaxed); raw total energy = -7.085 eV/atom; MP2020-corrected energy = -8.452 eV/atom; SG = Cmmm, No. 65; energy relative to the elements = 104 meV/atom
1.0
-4.927 2.345 -0.949
-1.936 -4.926 -1.629
-1.010 -0.736 3.426
W C O
2 3 3
Direct
0.748 0.252 0.000 W
0.252 0.748 0.000 W
0.590 0.410 0.500 C
0.410 0.590 0.500 C
0.500 0.500 0.000 C
0.000 0.000 0.000 O
0.000 0.500 0.000 O
0.500 0.000 0.000 O

=====

5.
CaMn9CdO10 (PBE+U, relaxed); raw total energy = -7.089 eV/atom; relative energy among the computed polymorphs = 129 meV/atom; MP2020-corrected energy = -8.131 eV/atom; SG = P1, No. 1; energy relative to the elements = -1709 meV/atom
1.0
-4.859 2.308 2.322
2.486 -4.911 7.362
4.981 2.420 2.430
Ca Mn Cd O
1 9 1 10
Direct
0.157 0.800 0.004 Ca
0.494 0.380 0.329 Mn
0.969 0.093 0.982 Mn
0.517 0.005 0.436 Mn
0.969 0.507 0.279 Mn
0.022 0.171 0.465 Mn
0.493 0.219 0.906 Mn
0.519 0.595 0.647 Mn
0.027 0.428 0.844 Mn
0.916 0.799 0.428 Mn
0.617 0.804 0.960 Cd
0.769 0.052 0.230 O
0.712 0.411 0.019 O
0.707 0.185 0.626 O
0.770 0.546 0.488 O
0.240 0.207 0.204 O
0.261 0.801 0.416 O
0.780 0.799 0.684 O
0.217 0.049 0.830 O
0.245 0.396 0.614 O
0.218 0.551 0.084 O

=====

6.
CaMn9CdO10 (PBE+U, relaxed); raw total energy = -7.218 eV/atom; relative energy among the computed polymorphs = 0 meV/atom; MP2020-corrected energy = -8.260 eV/atom; SG = P1, No. 1; energy relative to the elements = -1838 meV/atom
1.0
-4.429 1.857 2.787
1.076 -5.685 8.157
4.425 2.726 1.944
Ca Mn Cd O
1 9 1 10
Direct
0.128 0.900 0.440 Ca
0.479 0.412 0.325 Mn
0.051 0.068 0.884 Mn
0.587 0.075 0.420 Mn
0.942 0.552 0.290 Mn
0.029 0.232 0.358 Mn
0.519 0.221 0.868 Mn
0.424 0.547 0.776 Mn
0.978 0.386 0.826 Mn
0.895 0.700 0.737 Mn
0.592 0.870 0.992 Cd
0.827 0.070 0.157 O
0.720 0.399 0.080 O
0.775 0.229 0.615 O
0.699 0.546 0.559 O
0.272 0.206 0.109 O
0.133 0.683 0.513 O
0.864 0.914 0.694 O
0.319 0.067 0.645 O
0.237 0.381 0.571 O
0.162 0.540 0.022 O

=====

7.
CaMn9CdO10 (PBE+U, relaxed); raw total energy = -7.164 eV/atom; relative energy among the computed polymorphs = 54 meV/atom; MP2020-corrected energy = -8.206 eV/atom; SG = P1, No. 1; energy relative to the elements = -1784 meV/atom
1.0
-4.285 2.374 2.833
1.819 -4.802 7.937
4.342 2.739 2.636
Ca Mn Cd O
1 9 1 10
Direct
0.879 0.477 0.337 Ca
0.398 0.312 0.344 Mn
0.040 0.063 0.867 Mn
0.389 0.966 0.420 Mn
0.240 0.705 0.142 Mn
0.909 0.150 0.349 Mn
0.490 0.219 0.866 Mn
0.433 0.568 0.743 Mn
0.978 0.391 0.864 Mn
0.906 0.780 0.570 Mn
0.627 0.836 0.006 Cd
0.720 0.977 0.298 O
0.684 0.339 0.096 O
0.776 0.240 0.630 O
0.760 0.581 0.612 O
0.197 0.168 0.116 O
0.242 0.763 0.463 O
0.978 0.853 0.880 O
0.294 0.102 0.625 O
0.254 0.407 0.620 O
0.186 0.504 0.082 O

=====

8.
CaMn9CdO10 (PBE+U, relaxed); raw total energy = -7.153 eV/atom; relative energy among the computed polymorphs = 65 meV/atom; MP2020-corrected energy = -8.195 eV/atom; SG = P1, No. 1; energy relative to the elements = -1772 meV/atom
1.0
1.943 5.074 3.161
-8.480 0.446 3.826
-2.031 -5.399 3.133
Ca Mn Cd O
1 9 1 10
Direct
0.731 0.512 0.232 Ca
0.387 0.322 0.378 Mn
0.958 0.044 0.012 Mn
0.475 0.960 0.524 Mn
0.105 0.680 0.110 Mn
0.951 0.144 0.447 Mn
0.455 0.235 0.904 Mn
0.519 0.598 0.654 Mn
0.983 0.393 0.842 Mn
0.018 0.760 0.574 Mn
0.420 0.879 0.026 Cd
0.775 0.007 0.241 O
0.763 0.361 0.029 O
0.801 0.245 0.603 O
0.744 0.620 0.489 O
0.278 0.173 0.131 O
0.209 0.816 0.367 O
0.709 0.740 0.875 O
0.355 0.112 0.643 O
0.235 0.462 0.493 O
0.258 0.539 0.997 O

=====

9.
CaMn9CdO10 (PBE+U, relaxed); raw total energy = -7.161 eV/atom; relative energy among the computed polymorphs = 57 meV/atom; MP2020-corrected energy = -8.203 eV/atom; SG = P1, No. 1; energy relative to the elements = -1780 meV/atom
1.0
-4.653 2.334 2.616
1.314 -5.771 6.998
4.701 3.179 1.857
Ca Mn Cd O
1 9 1 10
Direct
0.615 0.298 0.334 Ca
0.464 0.618 0.229 Mn
0.017 0.041 0.881 Mn
0.473 0.839 0.616 Mn
0.930 0.671 0.120 Mn
0.130 0.143 0.381 Mn
0.506 0.167 0.833 Mn
0.404 0.510 0.713 Mn
0.909 0.397 0.840 Mn
0.962 0.708 0.633 Mn
0.613 0.931 0.209 Cd
0.809 0.129 0.135 O
0.680 0.492 0.046 O
0.815 0.204 0.678 O
0.696 0.538 0.544 O
0.325 0.133 0.121 O
0.213 0.677 0.444 O
0.816 0.832 0.850 O
0.256 0.993 0.665 O
0.324 0.311 0.568 O
0.163 0.572 0.935 O

=====

10.
NaCaCeFeO6 (PBE+U, relaxed); raw total energy = -6.486 eV/atom; MP2020-corrected energy = -7.124 eV/atom; SG = F-43m, No. 216; energy relative to the elements = -2382 meV/atom
1.0
0.000 -4.062 -4.062
4.062 0.000 -4.062
4.062 -4.062 0.000
Na Ca Ce Fe O
1 1 1 1 6
Direct
0.250 0.250 0.250 Na
0.750 0.750 0.750 Ca
0.000 0.000 0.000 Ce
0.500 0.500 0.500 Fe
0.733 0.267 0.267 O
0.267 0.733 0.733 O
0.733 0.267 0.733 O
0.267 0.733 0.267 O
0.733 0.733 0.267 O
0.267 0.267 0.733 O

=====

11.
SrCaCeFeO6 (PBE+U, relaxed); raw total energy = -6.919 eV/atom; MP2020-corrected energy = -7.556 eV/atom; SG = F-43m, No. 216; energy relative to the elements = -2778 meV/atom
1.0
0.000 -4.126 -4.126
4.126 0.000 -4.126
4.126 -4.126 0.000
Sr Ca Ce Fe O
1 1 1 1 6
Direct
0.250 0.250 0.250 Sr
0.750 0.750 0.750 Ca
0.000 0.000 0.000 Ce
0.500 0.500 0.500 Fe
0.737 0.263 0.263 O
0.263 0.737 0.737 O
0.737 0.263 0.737 O
0.263 0.737 0.263 O
0.737 0.737 0.263 O
0.263 0.263 0.737 O

=====

12.
CaCe3V4O16 (PBE+U, relaxed); raw total energy = -8.007 eV/atom; MP2020-corrected energy = -8.748 eV/atom; SG = P-4m2, No. 115; energy relative to the elements = -3110 meV/atom
1.0
7.348 0.000 0.000
0.000 7.348 0.000
0.000 0.000 6.480
Ca Ce V O
1 3 4 16
Direct
0.500 0.500 0.500 Ca
0.000 0.000 0.000 Ce
0.000 0.500 0.750 Ce
0.500 0.000 0.250 Ce
0.500 0.000 0.749 V
0.000 0.500 0.251 V
0.000 0.000 0.500 V
0.500 0.500 0.000 V
0.316 0.000 0.924 O
0.822 0.500 0.423 O
0.000 0.182 0.673 O
0.500 0.686 0.168 O
0.000 0.818 0.673 O
0.500 0.314 0.168 O
0.684 0.000 0.924 O
0.178 0.500 0.423 O
0.182 0.000 0.327 O
0.686 0.500 0.832 O
0.500 0.822 0.577 O
0.000 0.316 0.076 O
0.500 0.178 0.577 O
0.000 0.684 0.076 O
0.818 0.000 0.327 O
0.314 0.500 0.832 O

=====

13.
Ca5Cr3ClO12 (PBE+U, relaxed); raw total energy = -6.729 eV/atom; MP2020-corrected energy = -7.407 eV/atom; SG = P6_3/m, No. 176; energy relative to the elements = -2635 meV/atom
1.0
5.107 -8.845 0.000
5.107 8.845 0.000
0.000 0.000 6.782
Ca Cr Cl O
10 6 2 24
Direct
0.667 0.333 0.503 Ca
0.333 0.667 0.003 Ca
0.333 0.667 0.497 Ca
0.667 0.333 0.997 Ca
0.030 0.267 0.750 Ca
0.733 0.764 0.750 Ca
0.236 0.970 0.750 Ca
0.970 0.733 0.250 Ca
0.267 0.236 0.250 Ca
0.764 0.030 0.250 Ca
0.383 0.412 0.750 Cr
0.588 0.971 0.750 Cr
0.029 0.617 0.750 Cr
0.617 0.588 0.250 Cr
0.412 0.029 0.250 Cr
0.971 0.383 0.250 Cr
0.000 0.000 0.500 Cl
0.000 0.000 0.000 Cl
0.503 0.342 0.750 O
0.658 0.161 0.750 O
0.839 0.497 0.750 O
0.497 0.658 0.250 O
0.342 0.839 0.250 O
0.161 0.503 0.250 O
0.466 0.609 0.750 O
0.391 0.858 0.750 O
0.142 0.534 0.750 O
0.534 0.391 0.250 O
0.609 0.142 0.250 O
0.858 0.466 0.250 O
0.262 0.350 0.550 O
0.650 0.913 0.550 O
0.087 0.738 0.550 O
0.738 0.650 0.050 O
0.350 0.087 0.050 O
0.913 0.262 0.050 O
0.738 0.650 0.450 O
0.350 0.087 0.450 O
0.913 0.262 0.450 O
0.262 0.350 0.950 O
0.650 0.913 0.950 O
0.087 0.738 0.950 O

=====

no.,calculated volume (Å³ per atom)
1,13.20
2,12.94
3,17.83
4,13.98
5,13.62
6,13.76
7,13.86
8,13.61
9,14.59
10,13.41
11,14.05
12,14.58
13,14.59